## a
Ti5Fe7O18: optimized geometry, GGA+U.

```
data_Ti5Fe7O18
_chemical_formula_sum 'Ti5 Fe7 O18'
_cell_length_a 5.1536
_cell_length_b 5.5549
_cell_length_c 11.7954
_cell_angle_alpha 97.61
_cell_angle_beta 102.58
_cell_angle_gamma 90.07
_space_group_name_H-M_alt 'P 1'
_space_group_IT_number 1
loop_
_space_group_symop_operation_xyz
'x,y,z'
loop_
_atom_site_label
_atom_site_fract_x
_atom_site_fract_y
_atom_site_fract_z
_atom_site_occupancy
Ti1 0.0000 0.0000 0.0000 1
Ti2 0.0836 0.6835 0.1907 1
Ti3 0.3121 0.3462 0.6603 1
Ti4 0.6499 0.6677 0.3302 1
Ti5 0.8249 0.8478 0.6680 1
Fe1 0.1630 0.1774 0.3324 1
Fe2 0.2463 0.8492 0.5215 1
Fe3 0.4175 0.0314 0.8631 1
Fe4 0.4857 0.5075 0.9952 1
Fe5 0.5914 0.1802 0.1919 1
Fe6 0.7569 0.3521 0.5228 1
Fe7 0.9119 0.5164 0.8584 1
O1 0.0068 0.5050 0.6885 1
O2 0.0939 0.2081 0.5034 1
O3 0.1461 0.2448 0.9342 1
O4 0.1626 0.9972 0.7009 1
O5 0.1993 0.0260 0.1511 1
O6 0.2505 0.7727 0.9253 1
O7 0.3424 0.8193 0.3544 1
O8 0.4030 0.5391 0.1670 1
O9 0.4912 0.5827 0.6033 1
O10 0.5284 0.3569 0.8125 1
O11 0.5363 0.3364 0.3669 1
O12 0.6085 0.0891 0.5999 1
O13 0.6754 0.1498 0.0201 1
O14 0.7395 0.8705 0.8151 1
O15 0.8240 0.9138 0.2698 1
O16 0.8593 0.7017 0.4898 1
O17 0.8714 0.6688 0.0389 1
O18 0.9247 0.4509 0.2564 1
```

Magnetic moment   4.0 μB/f.u.


## b
Ti5Fe7O18: optimized geometry, GGA+U.

```
data_Ti5Fe7O18
_chemical_formula_sum 'Ti10 Fe14 O36'
_cell_length_a 5.5940
_cell_length_b 9.1879
_cell_length_c 12.7676
_cell_angle_alpha 87.98
_cell_angle_beta 87.15
_cell_angle_gamma 84.48
_space_group_name_H-M_alt 'P 1'
_space_group_IT_number 1
loop_
_space_group_symop_operation_xyz
'x,y,z'
loop_
_atom_site_label
_atom_site_fract_x
_atom_site_fract_y
_atom_site_fract_z
_atom_site_occupancy
Ti1 0.0000 0.0000 0.0000 1
Ti2 0.9997 0.3312 0.6593 1
Ti3 0.0036 0.6732 0.8242 1
Ti4 0.0046 0.6671 0.3236 1
Ti5 0.0906 0.3640 0.4236 1
Ti6 0.5004 0.8419 0.6566 1
Ti7 0.5068 0.1662 0.3273 1
Ti8 0.5177 0.4988 0.9902 1
Ti9 0.5866 0.1940 0.0929 1
Ti10 0.5932 0.8595 0.4235 1
Fe1 0.0102 0.0044 0.4934 1
Fe2 0.0101 0.3407 0.1608 1
Fe3 0.0829 0.6917 0.5910 1
Fe4 0.0890 0.0265 0.2600 1
Fe5 0.0927 0.0317 0.7560 1
Fe6 0.0929 0.6980 0.0900 1
Fe7 0.0973 0.3569 0.9222 1
Fe8 0.5038 0.8338 0.1587 1
Fe9 0.5072 0.5019 0.4956 1
Fe10 0.5109 0.1676 0.8261 1
Fe11 0.5841 0.5257 0.7580 1
Fe12 0.5848 0.5282 0.2570 1
Fe13 0.5876 0.1963 0.5900 1
Fe14 0.5877 0.8613 0.9229 1
O1 0.1252 0.1417 0.9000 1
O2 0.1360 0.5879 0.9518 1
O3 0.1367 0.4711 0.5648 1
O4 0.1404 0.8034 0.2325 1
O5 0.1486 0.2504 0.3016 1
O6 0.1577 0.9104 0.6300 1
O7 0.2740 0.2064 0.6938 1
O8 0.2760 0.8763 0.0252 1
O9 0.2807 0.5390 0.3597 1
O10 0.2848 0.6591 0.7375 1
O11 0.3187 0.3280 0.0542 1
O12 0.3252 0.9914 0.3904 1
O13 0.4408 0.3876 0.8608 1
O14 0.4446 0.6069 0.1104 1
O15 0.4527 0.0603 0.1838 1
O16 0.4536 0.2759 0.4492 1
O17 0.4539 0.9451 0.7840 1
O18 0.4619 0.7269 0.5228 1
O19 0.6377 0.3008 0.2277 1
O20 0.6436 0.7514 0.3004 1
O21 0.6444 0.9678 0.5655 1
O22 0.6501 0.0908 0.9679 1
O23 0.6521 0.4198 0.6310 1
O24 0.6549 0.6329 0.8968 1
O25 0.7700 0.7027 0.7010 1
O26 0.7745 0.0380 0.3599 1
O27 0.7950 0.3737 0.0189 1
O28 0.8115 0.8349 0.0550 1
O29 0.8119 0.1642 0.7204 1
O30 0.8215 0.4899 0.3914 1
O31 0.9468 0.5581 0.1887 1
O32 0.9473 0.7790 0.4473 1
O33 0.9478 0.1159 0.1187 1
O34 0.9556 0.4423 0.7886 1
O35 0.9637 0.2268 0.5183 1
O36 0.9676 0.8720 0.8525 1
```

Magnetic moment   1.9 μB/f.u.


## c
Ti5Fe7O18: optimized geometry, GGA+U.

```
data_Ti5Fe7O18
_chemical_formula_sum 'Ti10 Fe14 O36'
_cell_length_a 7.4827
_cell_length_b 7.5133
_cell_length_c 11.4967
_cell_angle_alpha 93.53
_cell_angle_beta 103.67
_cell_angle_gamma 95.52
_space_group_name_H-M_alt 'P 1'
_space_group_IT_number 1
loop_
_space_group_symop_operation_xyz
'x,y,z'
loop_
_atom_site_label
_atom_site_fract_x
_atom_site_fract_y
_atom_site_fract_z
_atom_site_occupancy
Ti1 0.0400 0.3876 0.3984 1
Ti2 0.1139 0.0884 0.9240 1
Ti3 0.2821 0.6069 0.2680 1
Ti4 0.3832 0.3938 0.0681 1
Ti5 0.4343 0.0928 0.6033 1
Ti6 0.5657 0.9072 0.3967 1
Ti7 0.6168 0.6062 0.9319 1
Ti8 0.7179 0.3931 0.7320 1
Ti9 0.8861 0.9116 0.0760 1
Ti10 0.9600 0.6124 0.6016 1
Fe1 0.0550 0.8988 0.3976 1
Fe2 0.1137 0.6042 0.9267 1
Fe3 0.2008 0.9119 0.7265 1
Fe4 0.2194 0.4090 0.7403 1
Fe5 0.2965 0.1135 0.2696 1
Fe6 0.3924 0.8999 0.0643 1
Fe7 0.4488 0.6119 0.5973 1
Fe8 0.5512 0.3881 0.4027 1
Fe9 0.6076 0.1001 0.9357 1
Fe10 0.7035 0.8865 0.7304 1
Fe11 0.7806 0.5910 0.2597 1
Fe12 0.7992 0.0881 0.2735 1
Fe13 0.8863 0.3958 0.0733 1
Fe14 0.9450 0.1012 0.6024 1
O1 0.0230 0.0063 0.2301 1
O2 0.0343 0.8452 0.5637 1
O3 0.0742 0.6479 0.3287 1
O4 0.0871 0.8539 0.0026 1
O5 0.1360 0.6699 0.7660 1
O6 0.1565 0.5030 0.1092 1
O7 0.1755 0.4972 0.5574 1
O8 0.1956 0.3355 0.9038 1
O9 0.2382 0.1556 0.6696 1
O10 0.2563 0.3575 0.3388 1
O11 0.3066 0.1597 0.0999 1
O12 0.3244 0.0078 0.4401 1
O13 0.3422 0.9963 0.8889 1
O14 0.3666 0.8399 0.2342 1
O15 0.4099 0.6465 0.9975 1
O16 0.4114 0.8504 0.6676 1
O17 0.4708 0.6679 0.4311 1
O18 0.4898 0.5053 0.7734 1
O19 0.5102 0.4947 0.2266 1
O20 0.5292 0.3321 0.5689 1
O21 0.5886 0.1496 0.3324 1
O22 0.5901 0.3535 0.0025 1
O23 0.6334 0.1601 0.7658 1
O24 0.6578 0.0037 0.1111 1
O25 0.6756 0.9922 0.5599 1
O26 0.6934 0.8403 0.9001 1
O27 0.7437 0.6425 0.6612 1
O28 0.7618 0.8444 0.3304 1
O29 0.8044 0.6645 0.0962 1
O30 0.8245 0.5028 0.4426 1
O31 0.8435 0.4970 0.8908 1
O32 0.8640 0.3301 0.2340 1
O33 0.9129 0.1461 0.9974 1
O34 0.9258 0.3521 0.6713 1
O35 0.9657 0.1548 0.4363 1
O36 0.9770 0.9937 0.7699 1
```

Magnetic moment   30.0 μB/f.u.


Stability, highest: c


## a
TiFe11O16: optimized geometry, GGA+U.

```
data_TiFe11O16
_chemical_formula_sum 'Ti2 Fe22 O32'
_cell_length_a 8.6154
_cell_length_b 12.1342
_cell_length_c 6.0736
_cell_angle_alpha 90.00
_cell_angle_beta 90.00
_cell_angle_gamma 90.00
_space_group_name_H-M_alt 'P 1'
_space_group_IT_number 1
loop_
_space_group_symop_operation_xyz
'x,y,z'
loop_
_atom_site_label
_atom_site_fract_x
_atom_site_fract_y
_atom_site_fract_z
_atom_site_occupancy
Ti1 0.0000 0.0000 0.0000 1
Ti2 0.5000 0.5000 0.5000 1
Fe1 0.0000 0.5000 0.0000 1
Fe2 0.0030 0.2561 0.0000 1
Fe3 0.1280 0.6250 0.5000 1
Fe4 0.1301 0.1253 0.5000 1
Fe5 0.2495 0.3747 0.2493 1
Fe6 0.2495 0.3747 0.7507 1
Fe7 0.2505 0.8747 0.2507 1
Fe8 0.2505 0.8747 0.7493 1
Fe9 0.3699 0.6253 0.0000 1
Fe10 0.3720 0.1250 0.0000 1
Fe11 0.4970 0.7561 0.5000 1
Fe12 0.5000 0.0000 0.5000 1
Fe13 0.5030 0.2439 0.5000 1
Fe14 0.6280 0.8750 0.0000 1
Fe15 0.6301 0.3747 0.0000 1
Fe16 0.7495 0.1253 0.2507 1
Fe17 0.7495 0.1253 0.7493 1
Fe18 0.7505 0.6253 0.2493 1
Fe19 0.7505 0.6253 0.7507 1
Fe20 0.8699 0.8747 0.5000 1
Fe21 0.8720 0.3750 0.5000 1
Fe22 0.9970 0.7439 0.0000 1
O1 0.0003 0.3703 0.2415 1
O2 0.0003 0.3703 0.7585 1
O3 0.9997 0.6297 0.2415 1
O4 0.9997 0.6297 0.7585 1
O5 0.0028 0.1209 0.2294 1
O6 0.0028 0.1209 0.7706 1
O7 0.2303 0.0004 0.0000 1
O8 0.2384 0.2513 0.0000 1
O9 0.2382 0.7539 0.0000 1
O10 0.2470 0.4952 0.0000 1
O11 0.2530 0.9952 0.5000 1
O12 0.2618 0.2539 0.5000 1
O13 0.2616 0.7513 0.5000 1
O14 0.2697 0.5004 0.5000 1
O15 0.4972 0.6209 0.2706 1
O16 0.4972 0.6209 0.7294 1
O17 0.5003 0.1297 0.2585 1
O18 0.5003 0.1297 0.7415 1
O19 0.4997 0.8703 0.2585 1
O20 0.4997 0.8703 0.7415 1
O21 0.5028 0.3791 0.2706 1
O22 0.5028 0.3791 0.7294 1
O23 0.7303 0.4996 0.5000 1
O24 0.7384 0.2487 0.5000 1
O25 0.7382 0.7461 0.5000 1
O26 0.7470 0.0048 0.5000 1
O27 0.7530 0.5048 0.0000 1
O28 0.7618 0.2461 0.0000 1
O29 0.7616 0.7487 0.0000 1
O30 0.7697 0.9996 0.0000 1
O31 0.9972 0.8791 0.2294 1
O32 0.9972 0.8791 0.7706 1
```

Magnetic moment   50.0 μB/f.u.


## b
TiFe11O16: optimized geometry, GGA+U.

```
data_TiFe11O16
_chemical_formula_sum 'Ti3 Fe33 O48'
_cell_length_a 6.0381
_cell_length_b 10.4489
_cell_length_c 15.9415
_cell_angle_alpha 109.10
_cell_angle_beta 100.88
_cell_angle_gamma 90.02
_space_group_name_H-M_alt 'P 1'
_space_group_IT_number 1
loop_
_space_group_symop_operation_xyz
'x,y,z'
loop_
_atom_site_label
_atom_site_fract_x
_atom_site_fract_y
_atom_site_fract_z
_atom_site_occupancy
Ti1 0.0000 0.0000 0.0000 1
Ti2 0.0840 0.4172 0.6669 1
Ti3 0.4182 0.5837 0.3342 1
Fe1 0.0651 0.5658 0.1256 1
Fe2 0.0842 0.9161 0.6664 1
Fe3 0.0857 0.9163 0.1698 1
Fe4 0.1045 0.2714 0.2085 1
Fe5 0.1646 0.8393 0.3342 1
Fe6 0.2302 0.3966 0.4587 1
Fe7 0.2458 0.7549 0.5034 1
Fe8 0.2541 0.7456 0.9991 1
Fe9 0.2548 0.2548 0.0006 1
Fe10 0.2709 0.1055 0.5440 1
Fe11 0.3363 0.6726 0.6683 1
Fe12 0.3934 0.2261 0.7893 1
Fe13 0.4180 0.0842 0.3342 1
Fe14 0.4228 0.5867 0.8357 1
Fe15 0.4355 0.9399 0.8745 1
Fe16 0.5003 0.4995 0.9997 1
Fe17 0.5624 0.0600 0.1241 1
Fe18 0.5843 0.4177 0.6670 1
Fe19 0.5846 0.9160 0.6668 1
Fe20 0.5864 0.4129 0.1640 1
Fe21 0.6036 0.7703 0.2091 1
Fe22 0.6711 0.3283 0.3331 1
Fe23 0.7333 0.8936 0.4589 1
Fe24 0.7452 0.2468 0.4975 1
Fe25 0.7462 0.2545 0.0001 1
Fe26 0.7460 0.7456 0.9989 1
Fe27 0.7718 0.6071 0.5431 1
Fe28 0.8316 0.1609 0.6656 1
Fe29 0.8981 0.7304 0.7907 1
Fe30 0.9174 0.5823 0.3334 1
Fe31 0.9175 0.0841 0.3341 1
Fe32 0.9187 0.0836 0.8309 1
Fe33 0.9396 0.4355 0.8749 1
O1 0.0374 0.1960 0.0752 1
O2 0.0372 0.2234 0.5892 1
O3 0.0411 0.7179 0.0808 1
O4 0.0508 0.7244 0.5909 1
O5 0.1163 0.1070 0.7426 1
O6 0.1265 0.1180 0.2517 1
O7 0.1301 0.6115 0.7451 1
O8 0.1436 0.6258 0.2588 1
O9 0.1917 0.0433 0.9224 1
O10 0.2075 0.0392 0.4129 1
O11 0.2185 0.5493 0.4129 1
O12 0.2217 0.5462 0.9176 1
O13 0.2685 0.9569 0.0773 1
O14 0.2799 0.9539 0.5907 1
O15 0.2831 0.4605 0.5913 1
O16 0.3041 0.4543 0.0826 1
O17 0.3542 0.8783 0.7425 1
O18 0.3600 0.3805 0.7441 1
O19 0.3647 0.8798 0.2527 1
O20 0.3853 0.3892 0.2561 1
O21 0.4488 0.7786 0.4131 1
O22 0.4589 0.7869 0.9180 1
O23 0.4602 0.2916 0.9204 1
O24 0.4708 0.2890 0.4155 1
O25 0.5273 0.7131 0.5848 1
O26 0.5399 0.7073 0.0782 1
O27 0.5405 0.2131 0.0807 1
O28 0.5581 0.2139 0.5870 1
O29 0.6117 0.6213 0.7474 1
O30 0.6157 0.6186 0.2563 1
O31 0.6273 0.1265 0.2549 1
O32 0.6380 0.1201 0.7482 1
O33 0.6943 0.5427 0.4102 1
O34 0.6992 0.5449 0.9173 1
O35 0.7095 0.0474 0.4162 1
O36 0.7316 0.0414 0.9201 1
O37 0.7824 0.4554 0.0823 1
O38 0.8078 0.4538 0.5889 1
O39 0.8094 0.9567 0.0772 1
O40 0.8140 0.9558 0.5913 1
O41 0.8642 0.3818 0.2526 1
O42 0.8850 0.3734 0.7421 1
O43 0.8867 0.8786 0.2516 1
O44 0.8896 0.8813 0.7433 1
O45 0.9466 0.2887 0.4161 1
O46 0.9612 0.2814 0.9178 1
O47 0.9628 0.8043 0.9235 1
O48 0.9715 0.7838 0.4138 1
```

Magnetic moment   50.0 μB/f.u.


Stability, highest: a


## a
Ti2FeO5: optimized geometry, GGA+U.

```
data_Ti2FeO5
_chemical_formula_sum 'Ti16 Fe8 O40'
_cell_length_a 3.7667
_cell_length_b 9.9576
_cell_length_c 20.5709
_cell_angle_alpha 91.26
_cell_angle_beta 90.01
_cell_angle_gamma 90.03
_space_group_name_H-M_alt 'P 1'
_space_group_IT_number 1
loop_
_space_group_symop_operation_xyz
'x,y,z'
loop_
_atom_site_label
_atom_site_fract_x
_atom_site_fract_y
_atom_site_fract_z
_atom_site_occupancy
Ti1 0.2455 0.1093 0.2143 1
Ti2 0.2472 0.1185 0.5332 1
Ti3 0.2481 0.3870 0.7808 1
Ti4 0.2500 0.1179 0.7172 1
Ti5 0.2514 0.3832 0.4661 1
Ti6 0.2511 0.4356 0.1235 1
Ti7 0.2530 0.1167 0.0273 1
Ti8 0.2544 0.3764 0.2847 1
Ti9 0.7456 0.6236 0.7153 1
Ti10 0.7470 0.8833 0.9727 1
Ti11 0.7489 0.5644 0.8765 1
Ti12 0.7486 0.6168 0.5339 1
Ti13 0.7500 0.8821 0.2828 1
Ti14 0.7519 0.6130 0.2192 1
Ti15 0.7528 0.8815 0.4668 1
Ti16 0.7545 0.8907 0.7857 1
Fe1 0.2494 0.0603 0.8749 1
Fe2 0.2502 0.3889 0.9687 1
Fe3 0.2513 0.4436 0.6248 1
Fe4 0.2526 0.0558 0.3744 1
Fe5 0.7474 0.9442 0.6256 1
Fe6 0.7487 0.5564 0.3752 1
Fe7 0.7498 0.6111 0.0313 1
Fe8 0.7506 0.9397 0.1251 1
O1 0.2368 0.2928 0.1954 1
O2 0.2390 0.2964 0.5558 1
O3 0.2469 0.2989 0.6952 1
O4 0.2483 0.4547 0.3767 1
O5 0.2483 0.5433 0.0496 1
O6 0.2481 0.9330 0.9694 1
O7 0.2489 0.0477 0.6260 1
O8 0.2486 0.5662 0.7187 1
O9 0.2498 0.5106 0.8628 1
O10 0.2501 0.5657 0.5287 1
O11 0.2497 0.9309 0.2781 1
O12 0.2507 0.0378 0.1289 1
O13 0.2508 0.2135 0.8069 1
O14 0.2512 0.5595 0.2146 1
O15 0.2508 0.9349 0.4698 1
O16 0.2514 0.9396 0.7768 1
O17 0.2554 0.1947 0.9479 1
O18 0.2560 0.2870 0.0677 1
O19 0.2589 0.2027 0.4450 1
O20 0.2646 0.2037 0.3072 1
O21 0.7354 0.7963 0.6928 1
O22 0.7411 0.7973 0.5550 1
O23 0.7440 0.7130 0.9323 1
O24 0.7446 0.8053 0.0521 1
O25 0.7486 0.0604 0.2232 1
O26 0.7492 0.0651 0.5302 1
O27 0.7488 0.4405 0.7854 1
O28 0.7492 0.7865 0.1931 1
O29 0.7493 0.9622 0.8711 1
O30 0.7503 0.0691 0.7219 1
O31 0.7499 0.4343 0.4713 1
O32 0.7502 0.4894 0.1372 1
O33 0.7514 0.4338 0.2813 1
O34 0.7511 0.9523 0.3740 1
O35 0.7519 0.0670 0.0306 1
O36 0.7517 0.4567 0.9504 1
O37 0.7517 0.5453 0.6233 1
O38 0.7531 0.7011 0.3048 1
O39 0.7610 0.7036 0.4442 1
O40 0.7632 0.7072 0.8046 1
```

Magnetic moment   4.0 μB/f.u.


## b
Ti2FeO5: optimized geometry, GGA+U.

```
data_Ti2FeO5
_chemical_formula_sum 'Ti4 Fe2 O10'
_cell_length_a 5.3052
_cell_length_b 5.3052
_cell_length_c 10.2403
_cell_angle_alpha 90.00
_cell_angle_beta 90.00
_cell_angle_gamma 138.52
_space_group_name_H-M_alt 'P 1'
_space_group_IT_number 1
loop_
_space_group_symop_operation_xyz
'x,y,z'
loop_
_atom_site_label
_atom_site_fract_x
_atom_site_fract_y
_atom_site_fract_z
_atom_site_occupancy
Ti1 0.1328 0.8672 0.5670 1
Ti2 0.1328 0.8672 0.9330 1
Ti3 0.8672 0.1328 0.0670 1
Ti4 0.8672 0.1328 0.4330 1
Fe1 0.1926 0.8074 0.2500 1
Fe2 0.8074 0.1926 0.7500 1
O1 0.0451 0.9549 0.1116 1
O2 0.0451 0.9549 0.3884 1
O3 0.2050 0.7950 0.7500 1
O4 0.3141 0.6859 0.0588 1
O5 0.3141 0.6859 0.4412 1
O6 0.6859 0.3141 0.5588 1
O7 0.6859 0.3141 0.9412 1
O8 0.7950 0.2050 0.2500 1
O9 0.9549 0.0451 0.6116 1
O10 0.9549 0.0451 0.8884 1
```


Stability, highest: b